4
Lattice="-2.2699 -1.9268 3.1265 -1.1778 2.2333 3.5022 -4.1476 1.0341 0.6070" Properties=species:S:1:pos:R:3 comment="LiRe3 GGA-PBE optimized geometry" energy_ev_per_atom=-9.60 density_g_cm3=16.50 pbc="T T T"
Re -5.6964 1.0054 5.4268
Re -1.8988 0.3351 1.8089
Re -3.7976 0.6703 3.6179
Li 0.0000 0.0000 0.0000

---

117
Lattice="9.0329 -0.0051 0.0016 -4.5209 7.8057 0.0153 0.0041 0.0482 22.4519" Properties=species:S:1:pos:R:3 comment="Na15Nb8Zn4Si9P9O72 GGA-PBE optimized geometry" energy_ev_per_atom=-7.13 density_g_cm3=3.18 pbc="T T T"
O 0.6635 6.8076 8.0455
O 3.7306 6.1745 6.9772
O -2.9127 7.6305 20.5409
O 0.9046 6.5881 10.5463
O -0.7703 1.5972 20.5295
O 0.9240 3.7995 1.6539
O 2.7563 7.6277 9.2940
O 7.1972 0.1251 18.2360
O -0.5865 3.7058 5.7374
O 1.5801 5.3326 21.8232
O -3.6881 6.4502 9.3261
O 3.5901 3.8736 20.7089
O 3.9094 4.1665 11.8328
O 0.5826 3.7312 16.9554
O -1.6483 5.0288 8.0179
O 5.2013 4.1728 16.7424
O 5.6464 4.0566 3.3311
O 8.1086 1.2942 13.2879
O 1.5673 0.2617 13.2690
O 5.2904 6.1556 18.2171
O 3.7994 0.8857 14.5878
O 5.1592 6.3728 2.0734
O -1.6212 5.3384 10.6033
O 5.1406 4.1145 0.6363
O -0.6992 6.6578 12.9129
O 3.9063 6.3781 13.3130
O -0.9191 6.5732 21.8346
O 0.9952 1.4282 18.0857
O 0.7529 3.7361 10.6775
O 2.7978 2.5482 16.8139
O -0.8279 3.8567 12.9144
O 6.1528 2.9721 20.7029
O 2.8228 2.3972 0.6623
O 1.0090 1.3209 2.0111
O -0.7489 3.7312 21.8548
O 0.7386 6.6229 1.6895
O 3.6200 1.1948 5.5133
O 3.2417 3.9855 14.4745
O 5.0899 1.0766 9.4473
O 8.0038 1.4663 6.9751
O 1.6629 5.0017 19.2357
O 6.2777 2.9628 14.4375
O 5.5003 1.2844 0.6210
O 3.5346 6.4979 4.4574
O 1.0441 6.4690 16.9321
O 5.5511 3.7888 9.4456
O -2.8226 7.6196 4.4096
O 1.6042 5.5362 5.7031
O -1.0148 6.4796 5.6967
O 5.4130 1.1868 16.8135
O -1.0142 3.9149 19.3626
O 3.5239 1.3736 11.9274
O -0.6693 1.5392 4.4405
O 1.0095 3.9525 8.0840
O 2.9800 2.8933 9.4590
O 0.7236 1.6479 15.5606
O 6.2030 2.3872 11.7701
O 5.2100 0.8704 3.3136
O 2.8638 7.6630 15.7163
O 0.5568 1.5257 9.3292
O 1.8325 0.1514 6.9166
O 4.0381 1.1630 20.6986
O -1.6157 5.5101 16.9505
O 7.4999 0.2218 2.0522
O 6.2437 2.4994 5.5821
O -0.6187 6.7826 19.2452
O 3.5294 6.5430 20.5623
O -3.5175 6.5245 15.7024
O -1.5839 5.0544 1.6793
O 1.6076 5.1106 12.8460
O 2.6798 2.8931 3.1624
O 3.7781 4.1512 5.5166
Na 7.3912 2.2338 9.2528
Na 5.7009 0.1577 5.4171
Na 3.3545 5.3317 9.2234
Na -4.3996 7.7718 11.0588
Na 0.0394 5.1373 3.6581
Na 6.0635 4.8727 5.4166
Na 2.9585 4.8839 16.6552
Na 4.5363 2.6361 18.5226
Na 4.3169 2.5380 7.3097
Na 0.0826 0.1240 22.2884
Na -0.1338 5.2347 14.9122
Na 5.6144 5.3573 20.4873
Na 6.3147 0.2960 20.4638
Na 1.3090 2.6712 13.2064
Na 3.2990 0.1917 16.6517
Zn 0.0450 0.0517 19.1581
Zn 0.1508 0.0490 7.9272
Zn 4.5746 2.6329 15.2214
Zn 4.4774 2.5920 4.0025
Nb 4.4962 7.8195 14.4733
Nb 0.0214 5.2209 18.2574
Nb -0.0014 5.1716 7.0159
Nb 4.5194 7.7897 3.2405
Nb 4.4736 2.6508 22.0632
Nb -0.0543 5.2265 11.7182
Nb -0.0061 5.2686 0.5062
Nb 4.5044 2.6270 10.8224
P 1.2393 7.4892 9.3456
P 3.1998 5.5466 5.6928
P 6.4176 0.0519 16.9368
P 5.8259 5.5496 16.9231
P 2.6344 0.0400 5.6468
P 1.2845 2.2953 16.8854
P 1.8824 2.6179 1.9324
P -1.3077 3.0063 20.6320
P -1.2806 2.2549 5.6911
Si 1.3358 2.9131 9.3881
Si 5.8392 0.3449 1.9603
Si -1.3247 7.5611 20.5724
Si 5.8425 4.8469 1.9728
Si 7.1076 2.6278 13.1513
Si 2.6371 5.2099 20.5919
Si 3.2014 4.8976 13.1661
Si -2.6635 5.2336 9.3455
Si 3.2357 0.3402 13.2116

---

40
Lattice="7.1156 0.0000 0.0000 0.0000 8.4718 0.0000 0.0000 2.0203 10.7536" Properties=species:S:1:pos:R:3 comment="MgBi3P3O13 GGA-PBE optimized geometry" energy_ev_per_atom=-6.60 density_g_cm3=4.88 pbc="T T T"
Bi 1.7789 2.5650 4.6683
Bi 5.3367 7.9271 6.0853
Bi 3.5578 0.0000 0.0000
Bi 5.3367 4.5736 8.2622
Bi 0.0000 0.0000 0.0000
Bi 1.7789 5.9185 2.4914
O 4.0956 2.8978 4.1698
O 1.7789 3.2688 6.8314
O 1.7789 7.6540 1.1815
O 3.0947 2.1657 0.9132
O 1.7789 4.2548 0.2010
O 4.1420 5.5760 2.3258
O 5.3367 1.6580 6.0657
O 0.4631 2.1657 0.9132
O 1.7789 3.5179 2.5636
O 1.7789 2.7916 9.2748
O 2.9736 4.9161 8.4279
O 5.3367 6.9741 8.1900
O 5.3367 6.2372 10.5527
O 1.7789 8.8340 4.6879
O 5.3367 2.8380 9.5721
O 6.5315 5.5760 2.3258
O 6.6525 8.3264 9.8404
O 3.0200 7.5943 6.5839
O 5.3367 7.2233 3.9223
O 1.7789 6.3339 4.7263
O 5.3367 4.1582 6.0273
O 0.5842 4.9161 8.4279
O 6.5779 2.8978 4.1698
O 4.0210 8.3264 9.8404
O 0.5378 7.5943 6.5839
O 5.3367 7.7005 1.4788
P 5.3367 2.9038 5.1084
P 1.7789 7.5883 5.6452
P 1.7789 2.9685 1.0798
P 5.3367 7.5235 9.6739
P 5.3367 6.5628 2.5551
P 1.7789 3.9292 8.1985
Mg 5.3367 3.9308 1.7685
Mg 1.7789 6.5613 8.9851

---

15
Lattice="6.4072 -4.6467 0.0000 6.4072 4.6467 0.0000 3.0373 0.0000 7.3088" Properties=species:S:1:pos:R:3 comment="Eu3Pd2 GGA-PBE optimized geometry" energy_ev_per_atom=-8.86 density_g_cm3=7.65 pbc="T T T"
Pd 6.1398 -2.6005 3.3580
Pd 8.4684 -0.8857 6.6481
Pd 7.3834 0.8857 0.6607
Pd 5.4975 1.7148 4.7512
Pd 9.7120 2.6005 3.9508
Pd 10.3544 -1.7148 2.5577
Eu 10.4483 1.0593 1.2309
Eu 7.0649 3.3503 2.4744
Eu 11.1763 0.0000 5.1531
Eu 5.4035 -1.0593 6.0779
Eu 8.0186 2.2910 6.5007
Eu 4.6755 0.0000 2.1557
Eu 7.8332 -2.2910 0.8082
Eu 7.9259 0.0000 3.6544
Eu 8.7869 -3.3503 4.8344

---

- Which formula does entry 4 have?
  Eu3Pd2